Entry 1:
Material: Li3V4O3F9
Method: DFT, PBE+U
State: optimized geometry

abc: 10.389 10.408 11.095
angles: 62.37 62.31 60.41
Space group P1 (No. 1)
Inequivalent atoms, fractional coordinates:
Li1 0.000 0.000 0.000 [1 per cell]
Li2 0.001 0.501 0.499 [1 per cell]
Li3 0.226 0.737 0.322 [1 per cell]
Li4 0.232 0.240 0.809 [1 per cell]
Li5 0.457 0.472 0.629 [1 per cell]
Li6 0.464 0.965 0.135 [1 per cell]
Li7 0.495 0.506 0.003 [1 per cell]
Li8 0.498 0.004 0.500 [1 per cell]
Li9 0.729 0.235 0.323 [1 per cell]
Li10 0.732 0.739 0.811 [1 per cell]
Li11 0.738 0.234 0.808 [1 per cell]
Li12 0.962 0.467 0.133 [1 per cell]
V1 0.090 0.616 0.202 [1 per cell]
V2 0.091 0.111 0.702 [1 per cell]
V3 0.113 0.603 0.698 [1 per cell]
V4 0.116 0.098 0.199 [1 per cell]
V5 0.348 0.377 0.929 [1 per cell]
V6 0.348 0.878 0.431 [1 per cell]
V7 0.368 0.350 0.435 [1 per cell]
V8 0.368 0.850 0.934 [1 per cell]
V9 0.589 0.618 0.702 [1 per cell]
V10 0.590 0.115 0.205 [1 per cell]
V11 0.616 0.600 0.196 [1 per cell]
V12 0.620 0.095 0.696 [1 per cell]
V13 0.849 0.376 0.428 [1 per cell]
V14 0.852 0.876 0.924 [1 per cell]
V15 0.869 0.848 0.435 [1 per cell]
V16 0.872 0.348 0.935 [1 per cell]
O1 0.043 0.733 0.319 [1 per cell]
O2 0.045 0.232 0.820 [1 per cell]
O3 0.234 0.923 0.310 [1 per cell]
O4 0.238 0.424 0.805 [1 per cell]
O5 0.432 0.034 0.316 [1 per cell]
O6 0.433 0.533 0.817 [1 per cell]
O7 0.544 0.233 0.323 [1 per cell]
O8 0.544 0.730 0.824 [1 per cell]
O9 0.728 0.922 0.816 [1 per cell]
O10 0.734 0.424 0.307 [1 per cell]
O11 0.916 0.051 0.826 [1 per cell]
O12 0.932 0.534 0.317 [1 per cell]
F1 0.040 0.247 0.301 [1 per cell]
F2 0.044 0.736 0.811 [1 per cell]
F3 0.158 0.494 0.064 [1 per cell]
F4 0.168 0.485 0.563 [1 per cell]
F5 0.168 0.985 0.062 [1 per cell]
F6 0.169 0.997 0.567 [1 per cell]
F7 0.218 0.924 0.833 [1 per cell]
F8 0.220 0.426 0.331 [1 per cell]
F9 0.298 0.664 0.072 [1 per cell]
F10 0.299 0.166 0.575 [1 per cell]
F11 0.302 0.670 0.559 [1 per cell]
F12 0.304 0.168 0.059 [1 per cell]
F13 0.413 0.553 0.316 [1 per cell]
F14 0.415 0.053 0.815 [1 per cell]
F15 0.473 0.808 0.568 [1 per cell]
F16 0.476 0.308 0.065 [1 per cell]
F17 0.479 0.298 0.573 [1 per cell]
F18 0.480 0.799 0.070 [1 per cell]
F19 0.538 0.747 0.301 [1 per cell]
F20 0.552 0.241 0.806 [1 per cell]
F21 0.656 0.492 0.568 [1 per cell]
F22 0.659 0.000 0.060 [1 per cell]
F23 0.667 0.981 0.563 [1 per cell]
F24 0.668 0.485 0.059 [1 per cell]
F25 0.721 0.926 0.331 [1 per cell]
F26 0.725 0.414 0.827 [1 per cell]
F27 0.787 0.183 0.559 [1 per cell]
F28 0.797 0.660 0.572 [1 per cell]
F29 0.799 0.166 0.071 [1 per cell]
F30 0.802 0.669 0.059 [1 per cell]
F31 0.913 0.551 0.818 [1 per cell]
F32 0.914 0.052 0.315 [1 per cell]
F33 0.962 0.308 0.575 [1 per cell]
F34 0.971 0.807 0.066 [1 per cell]
F35 0.981 0.785 0.570 [1 per cell]
F36 0.985 0.299 0.069 [1 per cell]

Results
Offset from the most stable computed form (eV per atom): 0.020
Energy relative to the elements (eV/atom): -2.96



Entry 2:
Material: Li5VO3F2
Method: DFT, PBE+U
State: optimized geometry

abc: 3.921 6.066 18.525
angles: 95.63 90.00 90.02
Space group P1 (No. 1)
Inequivalent atoms, fractional coordinates:
Li1 0.000 0.000 0.000 [1 per cell]
Li2 0.000 0.006 0.495 [1 per cell]
Li3 0.000 0.462 0.699 [1 per cell]
Li4 0.000 0.499 0.500 [1 per cell]
Li5 0.000 0.507 0.995 [1 per cell]
Li6 0.000 0.537 0.183 [1 per cell]
Li7 0.000 0.963 0.199 [1 per cell]
Li8 0.001 0.449 0.858 [1 per cell]
Li9 0.001 0.949 0.359 [1 per cell]
Li10 0.499 0.756 0.745 [1 per cell]
Li11 0.500 0.213 0.949 [1 per cell]
Li12 0.500 0.250 0.750 [1 per cell]
Li13 0.500 0.256 0.245 [1 per cell]
Li14 0.500 0.287 0.433 [1 per cell]
Li15 0.500 0.712 0.449 [1 per cell]
Li16 0.500 0.750 0.250 [1 per cell]
Li17 0.500 0.788 0.933 [1 per cell]
Li18 0.501 0.199 0.109 [1 per cell]
Li19 0.501 0.699 0.609 [1 per cell]
Li20 0.999 0.038 0.683 [1 per cell]
V1 0.000 0.013 0.841 [1 per cell]
V2 0.000 0.513 0.341 [1 per cell]
V3 0.499 0.263 0.591 [1 per cell]
V4 0.499 0.763 0.091 [1 per cell]
O1 0.000 0.229 0.927 [1 per cell]
O2 0.000 0.252 0.773 [1 per cell]
O3 0.000 0.730 0.427 [1 per cell]
O4 0.000 0.751 0.273 [1 per cell]
O5 0.499 0.939 0.842 [1 per cell]
O6 0.500 0.002 0.023 [1 per cell]
O7 0.500 0.437 0.342 [1 per cell]
O8 0.500 0.481 0.677 [1 per cell]
O9 0.500 0.501 0.523 [1 per cell]
O10 0.500 0.980 0.177 [1 per cell]
O11 0.999 0.188 0.591 [1 per cell]
O12 0.999 0.688 0.092 [1 per cell]
F1 0.000 0.228 0.417 [1 per cell]
F2 0.000 0.275 0.244 [1 per cell]
F3 0.000 0.728 0.917 [1 per cell]
F4 0.499 0.479 0.167 [1 per cell]
F5 0.499 0.979 0.667 [1 per cell]
F6 0.500 0.025 0.494 [1 per cell]
F7 0.500 0.525 0.994 [1 per cell]
F8 0.999 0.776 0.745 [1 per cell]

Results
Offset from the most stable computed form (eV per atom): 0.009
Energy relative to the elements (eV/atom): -2.53
Piezoelectric modulus e_max (C/m²): 0.9



Entry 3:
Material: Li3V4O3F9
Method: DFT, PBE+U
State: optimized geometry

abc: 5.235 5.515 8.936
angles: 74.81 89.62 62.46
Space group P1 (No. 1)
Inequivalent atoms, fractional coordinates:
Li1 0.000 0.000 0.000 [1 per cell]
Li2 0.215 0.534 0.739 [1 per cell]
Li3 0.499 0.021 0.490 [1 per cell]
V1 0.158 0.657 0.389 [1 per cell]
V2 0.406 0.180 0.149 [1 per cell]
V3 0.680 0.673 0.889 [1 per cell]
V4 0.913 0.124 0.640 [1 per cell]
O1 0.366 0.411 0.270 [1 per cell]
O2 0.871 0.891 0.835 [1 per cell]
O3 0.920 0.887 0.522 [1 per cell]
F1 0.365 0.896 0.336 [1 per cell]
F2 0.370 0.881 0.695 [1 per cell]
F3 0.406 0.918 0.014 [1 per cell]
F4 0.467 0.381 0.587 [1 per cell]
F5 0.474 0.418 0.944 [1 per cell]
F6 0.843 0.925 0.192 [1 per cell]
F7 0.935 0.381 0.776 [1 per cell]
F8 0.974 0.373 0.072 [1 per cell]
F9 0.981 0.397 0.469 [1 per cell]

Results
Offset from the most stable computed form (eV per atom): 0.025
Energy relative to the elements (eV/atom): -2.95



Entry 4:
Material: Li2VO2F
Method: DFT, PBE+U
State: optimized geometry

abc: 9.444 4.154 5.881
angles: 90.00 109.80 90.00
Space group Cm (No. 8)
Inequivalent atoms, fractional coordinates:
Li1 0.000 0.000 0.000 [2 per cell]
Li2 0.001 0.000 0.504 [2 per cell]
Li3 0.169 0.500 0.834 [2 per cell]
Li4 0.338 0.000 0.171 [2 per cell]
V1 0.156 0.500 0.336 [2 per cell]
V2 0.354 0.000 0.669 [2 per cell]
O1 0.000 0.500 0.505 [2 per cell]
O2 0.002 0.500 0.004 [2 per cell]
O3 0.173 0.000 0.350 [2 per cell]
O4 0.330 0.500 0.658 [2 per cell]
F1 0.182 0.000 0.837 [2 per cell]
F2 0.323 0.500 0.168 [2 per cell]

Results
Offset from the most stable computed form (eV per atom): 0.059
Energy relative to the elements (eV/atom): -2.65



Entry 5:
Material: Li2VO2F
Method: DFT, PBE+U
State: optimized geometry

abc: 6.013 6.023 7.943
angles: 67.90 79.12 60.06
Space group P1 (No. 1)
Inequivalent atoms, fractional coordinates:
Li1 0.000 0.000 0.000 [1 per cell]
Li2 0.001 0.538 0.995 [1 per cell]
Li3 0.164 0.834 0.720 [1 per cell]
Li4 0.189 0.308 0.711 [1 per cell]
Li5 0.520 0.503 0.006 [1 per cell]
Li6 0.544 0.998 0.998 [1 per cell]
Li7 0.684 0.835 0.719 [1 per cell]
Li8 0.697 0.295 0.708 [1 per cell]
V1 0.349 0.164 0.356 [1 per cell]
V2 0.356 0.666 0.348 [1 per cell]
V3 0.845 0.666 0.347 [1 per cell]
V4 0.846 0.175 0.350 [1 per cell]
O1 0.010 0.265 0.501 [1 per cell]
O2 0.179 0.067 0.211 [1 per cell]
O3 0.183 0.573 0.210 [1 per cell]
O4 0.516 0.263 0.502 [1 per cell]
O5 0.519 0.755 0.499 [1 per cell]
O6 0.683 0.574 0.198 [1 per cell]
O7 0.687 0.071 0.209 [1 per cell]
O8 0.851 0.917 0.853 [1 per cell]
F1 0.018 0.745 0.519 [1 per cell]
F2 0.348 0.416 0.855 [1 per cell]
F3 0.350 0.914 0.856 [1 per cell]
F4 0.851 0.416 0.852 [1 per cell]

Results
Offset from the most stable computed form (eV per atom): 0.093
Energy relative to the elements (eV/atom): -2.62



Entry 6:
Material: Li3V2O4F2
Method: DFT, PBE+U
State: optimized geometry

abc: 5.044 8.719 14.891
angles: 90.00 90.18 90.00
Space group C2 (No. 5)
Inequivalent atoms, fractional coordinates:
Li1 0.000 0.000 0.000 [2 per cell]
Li2 0.000 0.002 0.500 [2 per cell]
Li3 0.000 0.335 0.000 [2 per cell]
Li4 0.000 0.343 0.500 [2 per cell]
Li5 0.000 0.659 0.500 [2 per cell]
Li6 0.164 0.838 0.642 [4 per cell]
Li7 0.170 0.168 0.643 [4 per cell]
V1 0.157 0.507 0.167 [4 per cell]
V2 0.165 0.836 0.168 [4 per cell]
V3 0.175 0.166 0.167 [4 per cell]
O1 0.004 0.334 0.235 [4 per cell]
O2 0.004 0.672 0.238 [4 per cell]
O3 0.009 0.004 0.764 [4 per cell]
O4 0.158 0.169 0.906 [4 per cell]
O5 0.171 0.497 0.908 [4 per cell]
O6 0.172 0.840 0.906 [4 per cell]
F1 0.154 0.824 0.421 [4 per cell]
F2 0.159 0.180 0.420 [4 per cell]
F3 0.183 0.501 0.422 [4 per cell]

Results
Offset from the most stable computed form (eV per atom): 0.043
Energy relative to the elements (eV/atom): -2.66



Entry 7:
Material: LiVOF3
Method: DFT, PBE+U
State: optimized geometry

abc: 5.382 5.117 12.354
angles: 90.00 108.46 90.00
Space group Pc (No. 7)
Inequivalent atoms, fractional coordinates:
Li1 0.000 0.166 0.000 [2 per cell]
Li2 0.508 0.323 0.999 [2 per cell]
V1 0.489 0.002 0.240 [2 per cell]
V2 0.981 0.476 0.259 [2 per cell]
O1 0.361 0.099 0.105 [2 per cell]
O2 0.742 0.299 0.287 [2 per cell]
F1 0.149 0.387 0.911 [2 per cell]
F2 0.238 0.184 0.302 [2 per cell]
F3 0.276 0.326 0.722 [2 per cell]
F4 0.649 0.117 0.903 [2 per cell]
F5 0.781 0.200 0.712 [2 per cell]
F6 0.868 0.385 0.097 [2 per cell]

Results
Offset from the most stable computed form (eV per atom): 0.019
Energy relative to the elements (eV/atom): -2.96



Entry 8:
Material: Li3V2O4F2
Method: DFT, PBE+U
State: optimized geometry

abc: 5.143 6.104 8.090
angles: 90.00 107.45 90.00
Space group Pm (No. 6)
Inequivalent atoms, fractional coordinates:
Li1 0.000 0.000 0.000 [1 per cell]
Li2 0.083 0.251 0.761 [2 per cell]
Li3 0.542 0.249 0.000 [2 per cell]
Li4 0.628 0.500 0.763 [1 per cell]
V1 0.320 0.250 0.382 [2 per cell]
V2 0.819 0.500 0.380 [1 per cell]
V3 0.820 0.000 0.383 [1 per cell]
O1 0.042 0.247 0.517 [2 per cell]
O2 0.067 0.000 0.247 [1 per cell]
O3 0.077 0.500 0.259 [1 per cell]
O4 0.561 0.000 0.504 [1 per cell]
O5 0.573 0.500 0.517 [1 per cell]
O6 0.596 0.253 0.246 [2 per cell]
F1 0.292 0.000 0.899 [1 per cell]
F2 0.333 0.500 0.863 [1 per cell]
F3 0.813 0.250 0.882 [2 per cell]

Results
Offset from the most stable computed form (eV per atom): 0.000
Energy relative to the elements (eV/atom): -2.70



Entry 9:
Material: LiV4OF11
Method: DFT, PBE+U
State: optimized geometry

abc: 5.194 5.508 17.189
angles: 89.00 82.07 61.98
Space group P1 (No. 1)
Inequivalent atoms, fractional coordinates:
Li1 0.000 0.000 0.000 [1 per cell]
Li2 0.126 0.106 0.666 [1 per cell]
V1 0.063 0.053 0.833 [1 per cell]
V2 0.063 0.553 0.333 [1 per cell]
V3 0.301 0.403 0.952 [1 per cell]
V4 0.316 0.929 0.458 [1 per cell]
V5 0.562 0.311 0.583 [1 per cell]
V6 0.564 0.795 0.083 [1 per cell]
V7 0.810 0.177 0.208 [1 per cell]
V8 0.826 0.703 0.714 [1 per cell]
O1 0.002 0.906 0.740 [1 per cell]
O2 0.125 0.201 0.926 [1 per cell]
F1 0.001 0.389 0.241 [1 per cell]
F2 0.013 0.081 0.555 [1 per cell]
F3 0.043 0.758 0.904 [1 per cell]
F4 0.048 0.865 0.268 [1 per cell]
F5 0.078 0.242 0.397 [1 per cell]
F6 0.083 0.347 0.762 [1 per cell]
F7 0.116 0.023 0.111 [1 per cell]
F8 0.125 0.514 0.615 [1 per cell]
F9 0.126 0.717 0.425 [1 per cell]
F10 0.471 0.648 0.995 [1 per cell]
F11 0.493 0.345 0.300 [1 per cell]
F12 0.505 0.143 0.491 [1 per cell]
F13 0.505 0.821 0.800 [1 per cell]
F14 0.549 0.007 0.643 [1 per cell]
F15 0.557 0.615 0.520 [1 per cell]
F16 0.569 0.489 0.146 [1 per cell]
F17 0.577 0.101 0.022 [1 per cell]
F18 0.620 0.964 0.176 [1 per cell]
F19 0.621 0.285 0.865 [1 per cell]
F20 0.633 0.761 0.366 [1 per cell]
F21 0.654 0.457 0.670 [1 per cell]
F22 0.999 0.592 0.052 [1 per cell]

Results
Offset from the most stable computed form (eV per atom): 0.028
Energy relative to the elements (eV/atom): -3.09



Entry 10:
Material: Li3V4O3F9
Method: DFT, PBE+U
State: optimized geometry

abc: 5.229 5.527 17.286
angles: 87.52 81.75 62.00
Space group P1 (No. 1)
Inequivalent atoms, fractional coordinates:
Li1 0.000 0.000 0.000 [1 per cell]
Li2 0.042 0.482 0.484 [1 per cell]
Li3 0.488 0.789 0.245 [1 per cell]
Li4 0.543 0.240 0.737 [1 per cell]
Li5 0.767 0.145 0.371 [1 per cell]
Li6 0.865 0.460 0.852 [1 per cell]
V1 0.203 0.350 0.303 [1 per cell]
V2 0.232 0.812 0.793 [1 per cell]
V3 0.415 0.743 0.416 [1 per cell]
V4 0.475 0.177 0.928 [1 per cell]
V5 0.696 0.109 0.553 [1 per cell]
V6 0.704 0.590 0.049 [1 per cell]
V7 0.918 0.464 0.671 [1 per cell]
V8 0.943 0.991 0.168 [1 per cell]
O1 0.183 0.051 0.358 [1 per cell]
O2 0.278 0.497 0.390 [1 per cell]
O3 0.635 0.592 0.766 [1 per cell]
O4 0.710 0.888 0.984 [1 per cell]
O5 0.754 0.275 0.104 [1 per cell]
O6 0.757 0.250 0.640 [1 per cell]
F1 0.117 0.864 0.514 [1 per cell]
F2 0.136 0.669 0.706 [1 per cell]
F3 0.144 0.377 0.010 [1 per cell]
F4 0.172 0.157 0.206 [1 per cell]
F5 0.206 0.659 0.231 [1 per cell]
F6 0.212 0.155 0.739 [1 per cell]
F7 0.218 0.487 0.854 [1 per cell]
F8 0.241 0.986 0.893 [1 per cell]
F9 0.243 0.329 0.576 [1 per cell]
F10 0.265 0.800 0.073 [1 per cell]
F11 0.641 0.936 0.453 [1 per cell]
F12 0.651 0.115 0.269 [1 per cell]
F13 0.672 0.407 0.948 [1 per cell]
F14 0.689 0.785 0.606 [1 per cell]
F15 0.713 0.407 0.479 [1 per cell]
F16 0.748 0.577 0.321 [1 per cell]
F17 0.749 0.763 0.147 [1 per cell]
F18 0.773 0.047 0.825 [1 per cell]

Results
Offset from the most stable computed form (eV per atom): 0.028
Energy relative to the elements (eV/atom): -2.95



Entry 11:
Material: Li2V2OF6
Method: DFT, PBE+U
State: optimized geometry

abc: 6.317 6.513 7.799
angles: 101.00 111.25 104.70
Space group P-1 (No. 2)
Inequivalent atoms, fractional coordinates:
Li1 0.163 0.074 0.331 [2 per cell]
Li2 0.236 0.633 0.434 [2 per cell]
V1 0.274 0.801 0.926 [2 per cell]
V2 0.340 0.326 0.776 [2 per cell]
O1 0.377 0.097 0.887 [2 per cell]
F1 0.018 0.805 0.392 [2 per cell]
F2 0.067 0.322 0.275 [2 per cell]
F3 0.181 0.899 0.123 [2 per cell]
F4 0.291 0.505 0.999 [2 per cell]
F5 0.329 0.620 0.708 [2 per cell]
F6 0.446 0.255 0.573 [2 per cell]

Results
Offset from the most stable computed form (eV per atom): 0.004
Energy relative to the elements (eV/atom): -3.06



| no. | total magnetic moment (Bohr magnetons per cell) |
| --- | --- |
| 1 | 32.00 |
| 2 | 8.00 |
| 3 | 8.00 |
| 4 | 0.00 |
| 5 | 8.00 |
| 6 | 18.00 |
| 7 | 4.00 |
| 8 | 2.00 |
| 9 | 16.00 |
| 10 | 16.00 |
| 11 | 8.00 |